1.
Material: Tb5Si2Sb2
Method: DFT, GGA-PBE
State: optimized geometry

```
Tb5Si2Sb2
1.0
7.604 -3.932 0.000
7.604 3.932 0.000
0.000 0.000 7.890
Tb Si Sb
10 4 4
Direct
0.000 0.000 0.000 Tb
0.043 0.704 0.668 Tb
0.204 0.543 0.168 Tb
0.296 0.957 0.668 Tb
0.457 0.796 0.168 Tb
0.500 0.500 0.500 Tb
0.543 0.204 0.832 Tb
0.704 0.043 0.332 Tb
0.796 0.457 0.832 Tb
0.957 0.296 0.332 Tb
0.126 0.874 0.374 Si
0.374 0.626 0.874 Si
0.626 0.374 0.126 Si
0.874 0.126 0.626 Si
0.206 0.206 0.000 Sb
0.294 0.294 0.500 Sb
0.706 0.706 0.500 Sb
0.794 0.794 0.000 Sb
```

SG = Cmce (64)
DFT total energy = -5.621 eV per atom
Crystal system = orthorhombic



2.
Material: LuOs2
Method: DFT, GGA-PBE
State: optimized geometry

```
LuOs2
1.0
5.272 0.000 0.000
-2.636 4.565 0.000
0.000 0.000 8.789
Lu Os
4 8
Direct
0.333 0.667 0.066 Lu
0.333 0.667 0.434 Lu
0.667 0.333 0.566 Lu
0.667 0.333 0.934 Lu
0.000 0.000 0.000 Os
0.000 0.000 0.500 Os
0.172 0.345 0.750 Os
0.172 0.828 0.750 Os
0.345 0.172 0.250 Os
0.655 0.828 0.750 Os
0.828 0.172 0.250 Os
0.828 0.655 0.250 Os
```

SG = P6_3/mmc (194)
DFT total energy = -9.381 eV per atom
Crystal system = hexagonal



3.
Material: ErAl3Ni2
Method: DFT, GGA-PBE
State: optimized geometry

```
ErAl3Ni2
1.0
8.963 0.000 0.000
-4.482 7.762 0.000
0.000 0.000 4.073
Er Al Ni
3 9 6
Direct
0.000 0.000 0.000 Er
0.333 0.667 0.500 Er
0.667 0.333 0.500 Er
0.000 0.297 0.500 Al
0.000 0.500 0.000 Al
0.000 0.703 0.500 Al
0.297 0.000 0.500 Al
0.297 0.297 0.500 Al
0.500 0.000 0.000 Al
0.500 0.500 0.000 Al
0.703 0.000 0.500 Al
0.703 0.703 0.500 Al
0.182 0.364 0.000 Ni
0.182 0.818 0.000 Ni
0.364 0.182 0.000 Ni
0.636 0.818 0.000 Ni
0.818 0.182 0.000 Ni
0.818 0.636 0.000 Ni
```

SG = P6/mmm (191)
DFT total energy = -5.222 eV per atom
Crystal system = hexagonal



4.
Material: Na3HfGaSi2SO12
Method: DFT, GGA-PBE
State: optimized geometry

```
Na3HfGaSi2SO12
1.0
-2.377 8.594 1.397
-6.277 -6.469 -0.460
1.770 -2.575 22.200
Si Na O Hf S Ga
12 18 72 6 6 6
Direct
0.632 0.955 0.418 Si
0.628 0.673 0.919 Si
0.327 0.372 0.419 Si
0.961 0.340 0.586 Si
0.994 0.705 0.753 Si
0.045 0.368 0.918 Si
0.378 0.034 0.585 Si
0.295 0.006 0.253 Si
0.711 0.701 0.251 Si
0.660 0.039 0.086 Si
0.966 0.622 0.085 Si
0.299 0.289 0.751 Si
0.332 0.310 0.912 Na
0.646 0.329 0.328 Na
0.961 0.669 0.910 Na
0.664 0.705 0.077 Na
0.690 0.668 0.412 Na
0.023 0.335 0.079 Na
0.628 0.002 0.244 Na
0.331 0.039 0.410 Na
0.312 0.662 0.662 Na
0.295 0.336 0.577 Na
0.665 0.977 0.579 Na
0.671 0.354 0.828 Na
0.998 0.372 0.744 Na
0.999 0.644 0.246 Na
0.004 0.021 0.495 Na
0.338 0.688 0.162 Na
0.356 0.001 0.746 Na
0.979 0.996 0.995 Na
0.824 0.835 0.912 O
0.303 0.825 0.256 O
0.874 0.501 0.143 O
0.491 0.168 0.246 O
0.695 0.551 0.528 O
0.840 0.539 0.026 O
0.504 0.642 0.862 O
0.205 0.029 0.314 O
0.636 0.492 0.923 O
0.646 0.145 0.421 O
0.533 0.849 0.757 O
0.449 0.305 0.028 O
0.699 0.515 0.242 O
0.692 0.154 0.748 O
0.033 0.182 0.909 O
0.485 0.301 0.742 O
0.846 0.308 0.248 O
0.200 0.182 0.090 O
0.359 0.487 0.081 O
0.971 0.795 0.814 O
0.189 0.021 0.588 O
0.692 0.163 0.029 O
0.979 0.811 0.088 O
0.541 0.834 0.476 O
0.207 0.168 0.810 O
0.522 0.688 0.255 O
0.818 0.027 0.803 O
0.832 0.509 0.746 O
0.158 0.502 0.579 O
0.358 0.496 0.362 O
0.513 0.641 0.581 O
0.832 0.793 0.310 O
0.127 0.493 0.859 O
0.866 0.515 0.423 O
0.026 0.821 0.415 O
0.029 0.218 0.195 O
0.640 0.515 0.636 O
0.115 0.638 0.362 O
0.307 0.849 0.969 O
0.362 0.885 0.862 O
0.304 0.461 0.480 O
0.151 0.693 0.469 O
0.782 0.971 0.695 O
0.637 0.128 0.147 O
0.461 0.160 0.526 O
0.837 0.308 0.529 O
0.025 0.830 0.696 O
0.166 0.459 0.976 O
0.970 0.159 0.589 O
0.174 0.206 0.693 O
0.175 0.697 0.756 O
0.170 0.975 0.196 O
0.498 0.842 0.079 O
0.152 0.634 0.075 O
0.818 0.800 0.590 O
0.179 0.974 0.915 O
0.818 0.967 0.409 O
0.872 0.363 0.647 O
0.485 0.360 0.136 O
0.855 0.354 0.921 O
0.165 0.176 0.412 O
0.508 0.364 0.423 O
0.366 0.848 0.575 O
0.794 0.826 0.193 O
0.151 0.467 0.257 O
0.499 0.126 0.643 O
0.312 0.478 0.755 O
0.841 0.030 0.089 O
0.485 0.134 0.923 O
0.539 0.696 0.980 O
0.507 0.873 0.359 O
0.973 0.182 0.303 O
0.998 0.986 0.147 Hf
0.014 0.002 0.647 Hf
0.347 0.669 0.313 Hf
0.664 0.320 0.480 Hf
0.331 0.653 0.813 Hf
0.680 0.336 0.980 Hf
0.000 0.291 0.251 S
0.043 0.667 0.418 S
0.666 0.624 0.584 S
0.333 0.957 0.918 S
0.709 0.000 0.751 S
0.376 0.334 0.084 S
0.004 0.009 0.351 Ga
0.991 0.996 0.851 Ga
0.324 0.663 0.518 Ga
0.671 0.342 0.684 Ga
0.337 0.676 0.018 Ga
0.658 0.329 0.184 Ga
```

DFT total energy = -6.866 eV per atom



5.
Material: Ba4LaRu3O12
Method: DFT, GGA-PBE
State: optimized geometry

```
Ba4LaRu3O12
1.0
5.192 -3.001 0.000
5.192 3.001 0.000
-0.724 0.000 30.321
Ba La Ru O
12 3 9 36
Direct
0.001 0.001 0.369 Ba
0.003 0.003 0.221 Ba
0.331 0.331 0.446 Ba
0.334 0.334 0.036 Ba
0.334 0.334 0.298 Ba
0.338 0.338 0.887 Ba
0.662 0.662 0.113 Ba
0.666 0.666 0.702 Ba
0.666 0.666 0.964 Ba
0.669 0.669 0.554 Ba
0.997 0.997 0.779 Ba
0.999 0.999 0.631 Ba
0.000 0.000 0.500 La
0.332 0.332 0.167 La
0.668 0.668 0.833 La
0.000 0.000 0.000 Ru
0.008 0.008 0.915 Ru
0.327 0.327 0.751 Ru
0.333 0.333 0.667 Ru
0.339 0.339 0.582 Ru
0.661 0.661 0.418 Ru
0.667 0.667 0.333 Ru
0.673 0.673 0.249 Ru
0.992 0.992 0.085 Ru
0.010 0.478 0.784 O
0.026 0.489 0.624 O
0.138 0.138 0.125 O
0.141 0.673 0.117 O
0.157 0.157 0.962 O
0.159 0.694 0.957 O
0.176 0.176 0.705 O
0.177 0.640 0.709 O
0.188 0.656 0.549 O
0.190 0.190 0.543 O
0.306 0.841 0.043 O
0.327 0.859 0.883 O
0.344 0.812 0.451 O
0.360 0.823 0.291 O
0.476 0.476 0.791 O
0.478 0.010 0.784 O
0.489 0.026 0.624 O
0.490 0.490 0.628 O
0.510 0.510 0.372 O
0.511 0.974 0.376 O
0.522 0.990 0.216 O
0.524 0.524 0.209 O
0.640 0.177 0.709 O
0.656 0.188 0.549 O
0.673 0.141 0.117 O
0.694 0.159 0.957 O
0.810 0.810 0.457 O
0.812 0.344 0.451 O
0.823 0.360 0.291 O
0.824 0.824 0.295 O
0.841 0.306 0.043 O
0.843 0.843 0.038 O
0.859 0.327 0.883 O
0.862 0.862 0.875 O
0.974 0.511 0.376 O
0.990 0.522 0.216 O
```

SG = C2/m (12)
DFT total energy = -7.061 eV per atom
Crystal system = monoclinic



6.
Material: ThGe2Au2
Method: DFT, GGA-PBE
State: optimized geometry

```
ThGe2Au2
1.0
-2.221 2.221 5.304
2.221 -2.221 5.304
2.221 2.221 -5.304
Th Ge Au
1 2 2
Direct
0.000 0.000 0.000 Th
0.385 0.385 0.000 Ge
0.615 0.615 0.000 Ge
0.250 0.750 0.500 Au
0.750 0.250 0.500 Au
```

SG = I4/mmm (139)
DFT total energy = -5.091 eV per atom
Crystal system = tetragonal